1.
A relaxed MgV8O8F8 crystal, computed with PBE+U. Values from VASP.

```
&SYSTEM
  ibrav = 0, nat = 25, ntyp = 4
/
ATOMIC_SPECIES
Mg 24.30 Mg.upf
V 50.94 V.upf
O 16.00 O.upf
F 19.00 F.upf
CELL_PARAMETERS angstrom
4.8920 0.0000 0.0000
0.0591 5.7197 0.0000
0.0445 0.9458 10.3941
ATOMIC_POSITIONS crystal
Mg 0.0000 0.0000 0.0000
V 0.0187 0.9948 0.5018
V 0.0201 0.7119 0.2628
V 0.4758 0.7512 0.7451
V 0.4892 0.9926 0.0005
V 0.5149 0.2310 0.2229
V 0.5259 0.4951 0.4718
V 0.9731 0.5046 0.9680
V 0.9894 0.2621 0.7114
O 0.2056 0.7187 0.4188
O 0.2201 0.9786 0.6632
O 0.2471 0.9744 0.1566
O 0.2495 0.7549 0.9166
O 0.7026 0.5027 0.3028
O 0.7453 0.2421 0.0586
O 0.7824 0.5200 0.8106
O 0.7826 0.2640 0.5494
F 0.2060 0.4687 0.1485
F 0.2169 0.2425 0.8990
F 0.3000 0.2269 0.3979
F 0.3064 0.4862 0.6527
F 0.7062 0.7617 0.5712
F 0.7298 0.0038 0.8327
F 0.7738 0.7432 0.0736
F 0.7925 0.9930 0.3235
```

Results
- space group = P1

2.
A relaxed MgV4O2F12 crystal, computed with PBE+U. Values from VASP.

```
&SYSTEM
  ibrav = 0, nat = 19, ntyp = 4
/
ATOMIC_SPECIES
Mg 24.30 Mg.upf
V 50.94 V.upf
O 16.00 O.upf
F 19.00 F.upf
CELL_PARAMETERS angstrom
5.4470 0.0000 0.0000
0.5347 6.6439 0.0000
1.8722 2.4373 8.0711
ATOMIC_POSITIONS crystal
Mg 0.0000 0.0000 0.0000
V 0.0535 0.4430 0.7220
V 0.4071 0.3763 0.3929
V 0.5283 0.2081 0.8585
V 0.9426 0.5925 0.2753
O 0.0864 0.4664 0.4834
O 0.1632 0.3163 0.9033
F 0.0465 0.8768 0.2326
F 0.1452 0.7103 0.6734
F 0.3050 0.4940 0.1882
F 0.3627 0.9515 0.9015
F 0.3662 0.1119 0.4153
F 0.4464 0.3132 0.6287
F 0.5690 0.6326 0.3743
F 0.6497 0.1255 0.0580
F 0.7005 0.4890 0.7904
F 0.7771 0.3313 0.2974
F 0.8795 0.7112 0.0526
F 0.8962 0.1361 0.7689
```

Results
- space group = P1

3.
A relaxed MgV6O5F19 crystal, computed with PBE+U. Values from VASP.

```
&SYSTEM
  ibrav = 0, nat = 31, ntyp = 4
/
ATOMIC_SPECIES
Mg 24.30 Mg.upf
V 50.94 V.upf
O 16.00 O.upf
F 19.00 F.upf
CELL_PARAMETERS angstrom
5.3665 0.0000 0.0000
-0.1353 5.4489 0.0000
-0.0398 -2.6445 15.3562
ATOMIC_POSITIONS crystal
Mg 0.0000 0.0000 0.0000
V 0.2837 0.1502 0.8108
V 0.2854 0.4817 0.4928
V 0.3054 0.8763 0.1759
V 0.8046 0.9513 0.4893
V 0.8194 0.3851 0.1724
V 0.8291 0.6346 0.8076
O 0.0022 0.3787 0.8018
O 0.0426 0.8677 0.8009
O 0.0545 0.5720 0.1503
O 0.4995 0.1145 0.1835
O 0.9839 0.7087 0.4751
F 0.0065 0.0659 0.1609
F 0.0602 0.1869 0.4661
F 0.1876 0.5348 0.6024
F 0.1987 0.1960 0.9335
F 0.2207 0.8896 0.2852
F 0.2772 0.8385 0.0510
F 0.3269 0.4725 0.3798
F 0.3329 0.1134 0.6987
F 0.5007 0.7877 0.5168
F 0.5049 0.4371 0.8382
F 0.5417 0.9441 0.8354
F 0.5458 0.6303 0.1698
F 0.5571 0.2913 0.5090
F 0.6872 0.9503 0.3828
F 0.6928 0.5973 0.7028
F 0.7528 0.2324 0.0496
F 0.8010 0.4100 0.2885
F 0.8266 0.7203 0.9344
F 0.8448 0.0682 0.6014
```

Results
- space group = P1

4.
A relaxed MgV8O8F8 crystal, computed with PBE+U. Values from VASP.

```
&SYSTEM
  ibrav = 0, nat = 25, ntyp = 4
/
ATOMIC_SPECIES
Mg 24.30 Mg.upf
V 50.94 V.upf
O 16.00 O.upf
F 19.00 F.upf
CELL_PARAMETERS angstrom
5.0039 0.0000 0.0000
-0.2802 5.6722 0.0000
-0.2944 -1.8632 10.3152
ATOMIC_POSITIONS crystal
Mg 0.0000 0.0000 0.0000
V 0.0089 0.9463 0.6416
V 0.4686 0.7069 0.4153
V 0.4814 0.9215 0.1488
V 0.5033 0.4483 0.6396
V 0.5171 0.1463 0.8693
V 0.9625 0.4996 0.8648
V 0.9719 0.1834 0.3850
V 0.9807 0.4637 0.1623
O 0.1481 0.7229 0.0747
O 0.1658 0.4648 0.3262
O 0.1756 0.9868 0.8263
O 0.3073 0.7349 0.5762
O 0.7395 0.1975 0.7287
O 0.8017 0.9240 0.4678
O 0.8030 0.1268 0.2070
O 0.8136 0.3085 0.9932
F 0.1781 0.2275 0.5649
F 0.3006 0.9761 0.3258
F 0.3151 0.2025 0.0778
F 0.3578 0.4550 0.8271
F 0.6378 0.8485 0.9630
F 0.6439 0.6474 0.2215
F 0.6776 0.4120 0.4567
F 0.8246 0.6738 0.7127
```

Results
- space group = P1

5.
A relaxed MgV4O5F7 crystal, computed with PBE+U. Values from VASP.

```
&SYSTEM
  ibrav = 0, nat = 17, ntyp = 4
/
ATOMIC_SPECIES
Mg 24.30 Mg.upf
V 50.94 V.upf
O 16.00 O.upf
F 19.00 F.upf
CELL_PARAMETERS angstrom
5.1447 0.0000 0.0000
2.5519 4.9027 0.0000
2.5015 1.8094 8.5027
ATOMIC_POSITIONS crystal
Mg 0.0000 0.0000 0.0000
V 0.0520 0.2924 0.6555
V 0.3427 0.4860 0.8903
V 0.5500 0.6995 0.1646
V 0.7523 0.0381 0.4092
O 0.2310 0.4238 0.7206
O 0.3393 0.6185 0.0694
O 0.3872 0.1681 0.4755
O 0.7558 0.2993 0.8407
O 0.7561 0.3930 0.2760
F 0.1969 0.8438 0.3218
F 0.2654 0.8990 0.7820
F 0.2866 0.1301 0.0291
F 0.7204 0.9559 0.2060
F 0.8168 0.6424 0.5228
F 0.8624 0.7071 0.9744
F 0.8833 0.0914 0.5728
```

Results
- space group = P1

6.
A relaxed MgV6O5F19 crystal, computed with PBE+U. Values from VASP.

```
&SYSTEM
  ibrav = 0, nat = 31, ntyp = 4
/
ATOMIC_SPECIES
Mg 24.30 Mg.upf
V 50.94 V.upf
O 16.00 O.upf
F 19.00 F.upf
CELL_PARAMETERS angstrom
5.3371 0.0000 0.0000
0.1964 5.4392 0.0000
0.1730 2.6755 15.3974
ATOMIC_POSITIONS crystal
Mg 0.0000 0.0000 0.0000
V 0.1890 0.6444 0.1589
V 0.2527 0.3555 0.8054
V 0.2950 0.0560 0.4914
V 0.7367 0.1639 0.1640
V 0.7662 0.8290 0.8046
V 0.8042 0.5538 0.4800
O 0.0298 0.7426 0.4547
O 0.0343 0.3912 0.1466
O 0.4581 0.2783 0.5152
O 0.9551 0.8824 0.1415
O 0.9822 0.5857 0.7981
F 0.0277 0.0918 0.7879
F 0.1515 0.9306 0.5913
F 0.1793 0.2575 0.9275
F 0.2098 0.6123 0.2724
F 0.2830 0.7590 0.0405
F 0.3438 0.4070 0.6964
F 0.3523 0.0655 0.3788
F 0.4533 0.9736 0.1689
F 0.4759 0.6041 0.8347
F 0.5297 0.1069 0.8336
F 0.5299 0.4666 0.1611
F 0.5514 0.7875 0.5128
F 0.6508 0.5615 0.3793
F 0.6524 0.9203 0.6962
F 0.7343 0.2227 0.0402
F 0.8022 0.1159 0.2751
F 0.8311 0.8092 0.9304
F 0.8481 0.4385 0.5919
F 0.9843 0.2504 0.4581
```

Results
- space group = P1

7.
A relaxed MgV4O5F7 crystal, computed with PBE+U. Values from VASP.

```
&SYSTEM
  ibrav = 0, nat = 17, ntyp = 4
/
ATOMIC_SPECIES
Mg 24.30 Mg.upf
V 50.94 V.upf
O 16.00 O.upf
F 19.00 F.upf
CELL_PARAMETERS angstrom
5.1285 0.0000 0.0000
-0.3504 5.4285 0.0000
-0.1519 -0.4146 7.6964
ATOMIC_POSITIONS crystal
Mg 0.0000 0.0000 0.0000
V 0.4567 0.0761 0.6995
V 0.4794 0.0897 0.2446
V 0.9729 0.5718 0.7240
V 0.9740 0.5888 0.2389
O 0.1748 0.8719 0.7872
O 0.2455 0.8336 0.1750
O 0.3775 0.0937 0.4867
O 0.6840 0.3620 0.2670
O 0.7669 0.3066 0.7056
F 0.0964 0.5696 0.4850
F 0.1700 0.2891 0.1492
F 0.2660 0.3625 0.7950
F 0.6250 0.0684 0.9839
F 0.6761 0.7894 0.6737
F 0.7687 0.8828 0.2959
F 0.8638 0.6262 0.9831
```

Results
- space group = P1

no.,energy of formation from the pure elements (eV per atom),calculated density (g/cm³)
1,-2.675,4.1
2,-3.020,2.8
3,-2.849,2.9
4,-2.677,4.0
5,-2.867,3.4
6,-2.860,2.9
7,-2.857,3.4